# Li2CaHfF8

An optimized crystal structure of Li2CaHfF8 (PBE, the Materials Project database).

Values from the calculation:
The energy of formation from the pure elements is -3.883 eV/atom. The crystal system is tetragonal. The value obtained for the largest piezoelectric modulus is 0.1 C/m2. The MP2020-corrected energy is -77.7 eV for the cell shown. For the total energy, the calculation gives -73.99 eV/cell.

```
Li2CaHfF8
1.0
3.3408 -0.5152 5.4880
-2.1714 4.1783 4.4013
-2.9595 -4.3405 -3.7345
Hf Li F Ca
1 2 8 1
direct
0.2500 0.7500 0.5000 Hf
0.7500 0.2500 0.5000 Li
0.0000 0.0000 0.0000 Li
0.2371 0.7987 0.8570 F
0.9416 0.3801 0.1430 F
0.8694 0.8931 0.4021 F
0.4909 0.4673 0.5979 F
0.5327 0.1306 0.0237 F
0.6199 0.7629 0.5615 F
0.2013 0.0584 0.4385 F
0.1069 0.5091 0.9763 F
0.5000 0.5000 0.0000 Ca
```

# OsRh2N10Cl10

An optimized crystal structure of OsRh2N10Cl10 (PBE, the Materials Project database).

Values from the calculation:
The energy of formation from the pure elements is 0.932 eV/atom. As for the size of the total moment: 4.2 μB per formula unit. The crystal system is monoclinic. The MP2020-corrected energy is -106.4 eV for the cell shown. For the total energy, the calculation gives -100.24 eV/cell.

```
OsRh2N10Cl10
1.0
4.3876 5.1844 0.0000
-4.3876 5.1844 0.0000
0.0000 3.1274 12.5554
N Rh Cl Os
10 2 10 1
direct
0.8795 0.5871 0.1160 N
0.1205 0.4129 0.8840 N
0.5319 0.5319 0.7260 N
0.4863 0.1518 0.6671 N
0.5137 0.8482 0.3329 N
0.8482 0.5137 0.3329 N
0.4681 0.4681 0.2740 N
0.1518 0.4863 0.6671 N
0.5871 0.8795 0.1160 N
0.4129 0.1205 0.8840 N
0.6659 0.6659 0.2617 Rh
0.3341 0.3341 0.7383 Rh
0.0406 0.0406 0.3168 Cl
0.2226 0.2226 0.4897 Cl
0.2340 0.2340 0.9520 Cl
0.7355 0.2645 0.5000 Cl
0.2645 0.7355 0.5000 Cl
0.5804 0.5804 0.8378 Cl
0.7774 0.7774 0.5103 Cl
0.7660 0.7660 0.0480 Cl
0.4196 0.4196 0.1622 Cl
0.9594 0.9594 0.6832 Cl
0.0000 0.0000 0.5000 Os
```

# K2P2H2O7

An optimized crystal structure of K2P2H2O7 (PBE, the Materials Project database).

Values from the calculation:
The energy of formation from the pure elements is -2.353 eV/atom. The value obtained for the distance to the lowest polymorph of the same formula is 0 meV per atom. As for the size of the total moment: 0.0 μB per formula unit. The crystal system is triclinic. The MP2020-corrected energy is -340.2 eV for the cell shown. For the total energy, the calculation gives -320.97 eV/cell.

```
K2P2H2O7
1.0
-5.7807 -4.4241 3.8744
-2.7547 -3.0347 -7.2356
5.9348 -9.5973 0.1368
O K P H
28 8 8 8
direct
0.2194 0.4330 0.1107 O
0.7039 0.4871 0.4071 O
0.0214 0.1893 0.9239 O
0.0808 0.2183 0.3792 O
0.8966 0.4301 0.2224 O
0.7806 0.5671 0.8893 O
0.6439 0.4026 0.7187 O
0.5485 0.1908 0.9004 O
0.5253 0.8318 0.3147 O
0.4747 0.1682 0.6853 O
0.5272 0.1379 0.2368 O
0.2961 0.5129 0.5929 O
0.4728 0.8621 0.7632 O
0.6539 0.6144 0.1927 O
0.9326 0.0493 0.7471 O
0.1034 0.5699 0.7776 O
0.9192 0.7817 0.6208 O
0.0674 0.9507 0.2529 O
0.6887 0.0167 0.4149 O
0.4515 0.8092 0.0996 O
0.3461 0.3856 0.8073 O
0.3561 0.5974 0.2813 O
0.7738 0.9696 0.1934 O
0.2262 0.0304 0.8066 O
0.8872 0.7079 0.2991 O
0.9786 0.8107 0.0761 O
0.3113 0.9833 0.5851 O
0.1128 0.2921 0.7009 O
0.7133 0.8811 0.9252 K
0.2867 0.1189 0.0748 K
0.8199 0.2224 0.5488 K
0.6089 0.7014 0.5706 K
0.7539 0.2943 0.0523 K
0.2461 0.7057 0.9477 K
0.3911 0.2986 0.4294 K
0.1801 0.7776 0.4512 K
0.7861 0.5451 0.2857 P
0.6276 0.0040 0.2962 P
0.2139 0.4549 0.7143 P
0.5180 0.2870 0.7829 P
0.0575 0.1388 0.8017 P
0.9425 0.8612 0.1983 P
0.3724 0.9960 0.7038 P
0.4820 0.7130 0.2171 P
0.7254 0.5222 0.8265 H
0.0622 0.1189 0.3428 H
0.2746 0.4778 0.1735 H
0.1033 0.4441 0.1384 H
0.9378 0.8811 0.6572 H
0.0282 0.3002 0.3245 H
0.8967 0.5559 0.8616 H
0.9718 0.6998 0.6755 H
```

# Sc57Rh13

An optimized crystal structure of Sc57Rh13 (PBE, the Materials Project database).

Values from the calculation:
The energy of formation from the pure elements is -0.420 eV/atom. As for the size of the total moment: 0.1 μB per formula unit. The crystal system is cubic. For the total energy, the calculation gives -972.22 eV/cell.

```
Sc57Rh13
1.0
14.4429 0.0000 0.0000
0.0000 14.4429 0.0000
0.0000 0.0000 14.4429
Rh Sc
26 114
direct
0.0000 0.0000 0.0000 Rh
0.0000 0.6671 0.7978 Rh
0.6671 0.7978 0.0000 Rh
0.5000 0.5000 0.5000 Rh
0.5000 0.8319 0.2996 Rh
0.0000 0.3329 0.2022 Rh
0.7978 0.0000 0.3329 Rh
0.1681 0.7004 0.5000 Rh
0.7978 0.0000 0.6671 Rh
0.5000 0.1681 0.7004 Rh
0.3329 0.2022 0.0000 Rh
0.2022 0.0000 0.6671 Rh
0.8319 0.2996 0.5000 Rh
0.7004 0.5000 0.1681 Rh
0.1681 0.2996 0.5000 Rh
0.5000 0.8319 0.7004 Rh
0.0000 0.6671 0.2022 Rh
0.2996 0.5000 0.8319 Rh
0.0000 0.3329 0.7978 Rh
0.8319 0.7004 0.5000 Rh
0.3329 0.7978 0.0000 Rh
0.7004 0.5000 0.8319 Rh
0.2022 0.0000 0.3329 Rh
0.6671 0.2022 0.0000 Rh
0.5000 0.1681 0.2996 Rh
0.2996 0.5000 0.1681 Rh
0.0000 0.1785 0.8928 Sc
0.7919 0.3853 0.3211 Sc
0.6147 0.6789 0.2081 Sc
0.0000 0.3933 0.3680 Sc
0.5000 0.8619 0.5000 Sc
0.0000 0.2296 0.5000 Sc
0.1895 0.7032 0.8890 Sc
0.2968 0.1110 0.8105 Sc
0.5000 0.6749 0.3912 Sc
0.1743 0.8969 0.5000 Sc
0.5000 0.1381 0.5000 Sc
0.5000 0.5000 0.1381 Sc
0.8215 0.8928 0.0000 Sc
0.0000 0.8215 0.8928 Sc
0.3912 0.5000 0.3251 Sc
0.8105 0.7032 0.1110 Sc
0.1110 0.8105 0.2968 Sc
0.6320 0.0000 0.3933 Sc
0.6147 0.6789 0.7919 Sc
0.8928 0.0000 0.8215 Sc
0.5000 0.6749 0.6088 Sc
0.1381 0.5000 0.5000 Sc
0.3853 0.6789 0.2081 Sc
0.7032 0.1110 0.8105 Sc
0.8257 0.8969 0.5000 Sc
0.8969 0.5000 0.8257 Sc
0.0000 0.0000 0.6246 Sc
0.8619 0.5000 0.5000 Sc
0.2081 0.3853 0.3211 Sc
0.7919 0.6147 0.6789 Sc
0.6749 0.6088 0.5000 Sc
0.8890 0.8105 0.7032 Sc
0.1785 0.1072 0.0000 Sc
0.3933 0.6320 0.0000 Sc
0.1031 0.5000 0.8257 Sc
0.7919 0.3853 0.6789 Sc
0.3211 0.7919 0.6147 Sc
0.8105 0.7032 0.8890 Sc
0.6088 0.5000 0.6749 Sc
0.7032 0.8890 0.1895 Sc
0.6749 0.3912 0.5000 Sc
0.2081 0.3853 0.6789 Sc
0.2968 0.8890 0.1895 Sc
0.7032 0.8890 0.8105 Sc
0.1110 0.8105 0.7032 Sc
0.5000 0.3251 0.6088 Sc
0.6789 0.7919 0.3853 Sc
0.3211 0.2081 0.6147 Sc
0.8890 0.1895 0.2968 Sc
0.1743 0.1031 0.5000 Sc
0.0000 0.3933 0.6320 Sc
0.3853 0.6789 0.7919 Sc
0.3680 0.0000 0.3933 Sc
0.6320 0.0000 0.6067 Sc
0.6067 0.6320 0.0000 Sc
0.6147 0.3211 0.7919 Sc
0.3251 0.6088 0.5000 Sc
0.6789 0.2081 0.3853 Sc
0.8257 0.1031 0.5000 Sc
0.5000 0.3251 0.3912 Sc
0.1895 0.2968 0.1110 Sc
0.5000 0.8257 0.8969 Sc
0.7919 0.6147 0.3211 Sc
0.6147 0.3211 0.2081 Sc
0.8105 0.2968 0.8890 Sc
0.5000 0.5000 0.8619 Sc
0.7032 0.1110 0.1895 Sc
0.6067 0.3680 0.0000 Sc
0.0000 0.6067 0.3680 Sc
0.2081 0.6147 0.6789 Sc
0.3211 0.2081 0.3853 Sc
0.5000 0.1743 0.1031 Sc
0.2968 0.8890 0.8105 Sc
0.2296 0.5000 0.0000 Sc
0.3251 0.3912 0.5000 Sc
0.5000 0.8257 0.1031 Sc
0.3853 0.3211 0.2081 Sc
0.3680 0.0000 0.6067 Sc
0.8890 0.1895 0.7032 Sc
0.1110 0.1895 0.2968 Sc
0.0000 0.1785 0.1072 Sc
0.7704 0.5000 0.0000 Sc
0.0000 0.7704 0.5000 Sc
0.5000 0.0000 0.7704 Sc
0.0000 0.6067 0.6320 Sc
0.8890 0.8105 0.2968 Sc
0.6246 0.0000 0.0000 Sc
0.3933 0.3680 0.0000 Sc
0.6789 0.7919 0.6147 Sc
0.1072 0.0000 0.8215 Sc
0.6088 0.5000 0.3251 Sc
0.3754 0.0000 0.0000 Sc
0.0000 0.6246 0.0000 Sc
0.3853 0.3211 0.7919 Sc
0.5000 0.0000 0.2296 Sc
0.1072 0.0000 0.1785 Sc
0.0000 0.8215 0.1072 Sc
0.5000 0.1743 0.8969 Sc
0.6789 0.2081 0.6147 Sc
0.1031 0.5000 0.1743 Sc
0.8969 0.5000 0.1743 Sc
0.2081 0.6147 0.3211 Sc
0.2968 0.1110 0.1895 Sc
0.3912 0.5000 0.6749 Sc
0.1110 0.1895 0.7032 Sc
0.0000 0.0000 0.3754 Sc
0.0000 0.3754 0.0000 Sc
0.8928 0.0000 0.1785 Sc
0.3211 0.7919 0.3853 Sc
0.8215 0.1072 0.0000 Sc
0.8105 0.2968 0.1110 Sc
0.1785 0.8928 0.0000 Sc
0.1895 0.7032 0.1110 Sc
0.1895 0.2968 0.8890 Sc
```